This record from the Materials Project database describes a geometry-optimized Al2GeO6 structure. The functional is PBE.

The total magnetization is 2.00 μB per formula unit. As for the energy of formation: -2457.2 meV per atom. The calculation puts the final energy at -6.6438 eV/atom. As for the density: 3.8 g cm⁻³.

It has space group Pnma (No. 62), with a = 9.3717 Å, b = 8.7078 Å, c = 4.7258 Å, α = 90.00°, β = 90.00° and γ = 90.00°. The asymmetric unit holds Al at (0.1279, 0.0810, 0.0973), Ge at (0.0634, 0.7500, 0.4016), O at (0.0094, 0.5856, 0.2066), O at (0.0344, 0.2500, 0.2761), O at (0.2453, 0.5458, 0.8893) and O at (0.2479, 0.2500, 0.9594).

***

This record from the Materials Project database describes a geometry-optimized RbGeBiS4 structure. The functional is PBE.

The total magnetization is 0.00 μB per formula unit. As for the energy of formation: -922.2 meV per atom. The calculation puts the final energy at -4.3547 eV/atom. As for the density: 4.0 g cm⁻³.

It has space group P2_1/c (No. 14), with a = 6.7194 Å, b = 6.9595 Å, c = 18.2905 Å, α = 90.00°, β = 108.21° and γ = 90.00°. The asymmetric unit holds Rb at (0.2130, 0.2431, 0.4651), Ge at (0.2949, 0.7297, 0.8410), Bi at (0.2615, 0.1888, 0.2218), S at (0.0835, 0.7390, 0.4125), S at (0.0902, 0.6693, 0.7191), S at (0.4864, 0.5166, 0.1344) and S at (0.4989, 0.5103, 0.3535).

***

This record from the Materials Project database describes a geometry-optimized NaSbF6 structure. The functional is PBE.

The total magnetization is 0.00 μB per formula unit. As for the energy of formation: -2846.2 meV per atom. The calculation puts the final energy at -4.6171 eV/atom. As for the density: 2.9 g cm⁻³.

It has space group Pa-3 (No. 205), with a = 8.3551 Å, b = 8.3551 Å, c = 8.3551 Å, α = 90.00°, β = 90.00° and γ = 90.00°. The asymmetric unit holds Na at (0.0000, 0.0000, 0.0000), Sb at (0.0000, 0.0000, 0.5000) and F at (0.0379, 0.0467, 0.7217).

***

This record from the Materials Project database describes a geometry-optimized MgTiZnBi2O6 structure. The functional is PBE.

The total magnetization is 0.00 μB per formula unit. Its offset from the most stable computed form is 0.151 eV/atom. As for the energy of formation: -1995.9 meV per atom. The calculation puts the final energy at -6.0051 eV/atom. As for the density: 5.9 g cm⁻³.

It has space group Cm (No. 8), with a = 8.2705 Å, b = 6.1089 Å, c = 7.2819 Å, α = 90.00°, β = 91.10° and γ = 90.00°. The asymmetric unit holds Mg at (0.0000, 0.0000, 0.0000), Ti at (0.2324, 0.0000, 0.3568), Zn at (0.2688, 0.0000, 0.8278), Bi at (0.1293, 0.5000, 0.6110), Bi at (0.1483, 0.5000, 0.0862), O at (0.0890, 0.2491, 0.8474), O at (0.1079, 0.2382, 0.3834), O at (0.2466, 0.0000, 0.1031) and O at (0.3661, 0.0000, 0.5860).